(1)
Density functional theory data (PBE with a Hubbard U) for a relaxed structure of ZnSi4WO10.

formation energy from the elements = -2.68 eV per atom
space-group type = P4/ncc, No. 130

Lattice parameters (Å, degrees): 7.428 7.428 15.132 90.00 90.00 90.00
Atoms (fractional coordinates):
1 Zn 0.250 0.750 0.000
2 Zn 0.250 0.750 0.500
3 Zn 0.750 0.250 0.000
4 Zn 0.750 0.250 0.500
5 Si 0.014 0.605 0.148
6 Si 0.014 0.895 0.648
7 Si 0.105 0.514 0.352
8 Si 0.105 0.986 0.852
9 Si 0.395 0.514 0.852
10 Si 0.395 0.986 0.352
11 Si 0.486 0.605 0.648
12 Si 0.486 0.895 0.148
13 Si 0.514 0.105 0.852
14 Si 0.514 0.395 0.352
15 Si 0.605 0.014 0.648
16 Si 0.605 0.486 0.148
17 Si 0.895 0.014 0.148
18 Si 0.895 0.486 0.648
19 Si 0.986 0.105 0.352
20 Si 0.986 0.395 0.852
21 W 0.250 0.250 0.072
22 W 0.250 0.250 0.572
23 W 0.750 0.750 0.428
24 W 0.750 0.750 0.928
25 O 0.008 0.180 0.868
26 O 0.008 0.320 0.368
27 O 0.035 0.661 0.424
28 O 0.035 0.839 0.924
29 O 0.074 0.574 0.250
30 O 0.074 0.926 0.750
31 O 0.161 0.535 0.076
32 O 0.161 0.965 0.576
33 O 0.180 0.008 0.368
34 O 0.180 0.492 0.868
35 O 0.320 0.008 0.868
36 O 0.320 0.492 0.368
37 O 0.339 0.535 0.576
38 O 0.339 0.965 0.076
39 O 0.426 0.574 0.750
40 O 0.426 0.926 0.250
41 O 0.465 0.661 0.924
42 O 0.465 0.839 0.424
43 O 0.492 0.180 0.368
44 O 0.492 0.320 0.868
45 O 0.508 0.680 0.132
46 O 0.508 0.820 0.632
47 O 0.535 0.161 0.576
48 O 0.535 0.339 0.076
49 O 0.574 0.074 0.750
50 O 0.574 0.426 0.250
51 O 0.661 0.035 0.924
52 O 0.661 0.465 0.424
53 O 0.680 0.508 0.632
54 O 0.680 0.992 0.132
55 O 0.820 0.508 0.132
56 O 0.820 0.992 0.632
57 O 0.839 0.035 0.424
58 O 0.839 0.465 0.924
59 O 0.926 0.074 0.250
60 O 0.926 0.426 0.750
61 O 0.965 0.161 0.076
62 O 0.965 0.339 0.576
63 O 0.992 0.680 0.632
64 O 0.992 0.820 0.132

=====

(2)
Density functional theory data (PBE with a Hubbard U) for a relaxed structure of Sr2SmVO6.

formation energy from the elements = -3.08 eV per atom
space-group type = Fm-3m, No. 225

Lattice parameters (Å, degrees): 5.885 5.885 5.885 60.00 60.00 60.00
Atoms (fractional coordinates):
1 Sr 0.250 0.250 0.250
2 Sr 0.750 0.750 0.750
3 Sm 0.000 0.000 0.000
4 V 0.500 0.500 0.500
5 O 0.272 0.272 0.728
6 O 0.272 0.728 0.272
7 O 0.272 0.728 0.728
8 O 0.728 0.272 0.272
9 O 0.728 0.272 0.728
10 O 0.728 0.728 0.272